Computed, not measured: an optimized crystal structure of Li9Mn2Co5O16 at the PBE+U level of DFT.

```
Li9Mn2Co5O16
1.0
-2.4044 1.4779 1.0970
-6.3246 -5.7044 -4.9134
-1.8901 -7.4697 6.5568
Li Mn Co O
9 2 5 16
Direct
0.9992 0.7485 0.8780
0.4986 0.4974 0.4950
0.0029 0.2497 0.1283
0.5004 0.0017 0.7475
0.5007 0.5026 0.0047
0.0031 0.2497 0.6237
0.5008 0.9992 0.2515
0.9935 0.7512 0.3700
0.9995 0.4996 0.2503
0.0069 0.9970 0.0011
0.4975 0.7509 0.6240
0.5064 0.2504 0.8751
0.0039 0.0048 0.4965
0.4914 0.7380 0.1300
0.9951 0.4985 0.7514
0.4999 0.2609 0.3712
0.4747 0.8677 0.9544
0.9612 0.6224 0.5708
0.4969 0.3602 0.2055
0.0153 0.1242 0.8224
0.9664 0.6341 0.0688
0.5062 0.3741 0.6991
0.9669 0.1274 0.3230
0.5106 0.8787 0.4468
0.4831 0.6232 0.8015
0.0274 0.3649 0.4324
0.5380 0.1258 0.0529
0.0347 0.8800 0.6770
0.9962 0.3753 0.9291
0.4953 0.1301 0.5446
0.0259 0.8726 0.1777
0.5011 0.6392 0.2957
```

* energy relative to the lowest polymorph listed for this composition: 81 meV per atom
* total magnetic moment: 12.75 μB/cell
* symmetry: P1, No. 1
* formation energy: -1783 meV per atom